Density functional theory data (PBE) for a relaxed structure of HfMg14CO16.

Summary:
- polymorph energy (0 for the lowest one) (meV/atom) = 0.0
- spin magnetization (μB/f.u.) = 2.00
- crystal system = orthorhombic
- energy of formation (eV per atom) = -2.711

Geometry as CIF:
```
data_HfMg14CO16
_chemical_formula_sum 'Hf1 Mg14 C1 O16'
_cell_length_a 4.1877
_cell_length_b 8.7388
_cell_length_c 8.9194
_cell_angle_alpha 90.00
_cell_angle_beta 90.00
_cell_angle_gamma 90.00
_symmetry_space_group_name_H-M 'P 1'
_symmetry_Int_Tables_number 1
loop_
_symmetry_equiv_pos_as_xyz
'x,y,z'
loop_
_atom_site_label
_atom_site_fract_x
_atom_site_fract_y
_atom_site_fract_z
Hf1 0.0000 0.0000 0.0000
Mg1 0.0000 0.2489 0.2700
Mg2 0.0000 0.2489 0.7300
Mg3 0.0000 0.5000 0.0000
Mg4 0.0000 0.5000 0.5000
Mg5 0.0000 0.7511 0.2700
Mg6 0.0000 0.7511 0.7300
Mg7 0.5000 0.0000 0.2759
Mg8 0.5000 0.0000 0.7241
Mg9 0.5000 0.2476 0.5000
Mg10 0.5000 0.2627 0.0000
Mg11 0.5000 0.5000 0.2571
Mg12 0.5000 0.5000 0.7429
Mg13 0.5000 0.7373 0.0000
Mg14 0.5000 0.7524 0.5000
C1 0.0000 0.0000 0.5000
O1 0.0000 0.0000 0.2234
O2 0.0000 0.0000 0.7766
O3 0.0000 0.2441 0.0000
O4 0.0000 0.2812 0.5000
O5 0.0000 0.5000 0.2398
O6 0.0000 0.5000 0.7602
O7 0.0000 0.7188 0.5000
O8 0.0000 0.7559 0.0000
O9 0.5000 0.0000 0.0000
O10 0.5000 0.0000 0.5000
O11 0.5000 0.2464 0.2495
O12 0.5000 0.2464 0.7505
O13 0.5000 0.5000 0.0000
O14 0.5000 0.5000 0.5000
O15 0.5000 0.7536 0.2495
O16 0.5000 0.7536 0.7505
```